No. 1
First-principles (PBE-GGA) data for an optimized crystal structure of ThSiOs2C, as listed in the Materials Project.

Values from the calculation:
The raw total energy comes out at -9.426 eV per atom. The formation energy is -0.522 eV/atom. The calculation puts the spin magnetization at 0.001 μB/cell. The calculated volume is 80.7 Å³/f.u.

Cell lengths 5.964, 5.964, 7.194 Å; angles 90.00, 90.00, 140.86 degrees
Fractional positions:
1 Os 0.166 0.834 0.944
2 Os 0.166 0.834 0.556
3 Os 0.834 0.166 0.444
4 Os 0.834 0.166 0.056
5 Th 0.553 0.447 0.250
6 Th 0.447 0.553 0.750
7 C 0.000 0.000 0.500
8 C 0.000 0.000 0.000
9 Si 0.728 0.272 0.750
10 Si 0.272 0.728 0.250

---

No. 2
First-principles (PBE-GGA) data for an optimized crystal structure of SiAs2, as listed in the Materials Project.

Values from the calculation:
The raw total energy comes out at -4.986 eV per atom. The formation energy is -0.071 eV/atom. The value obtained for the energy above the most stable polymorph in this dataset is 0.000 eV per atom. The calculated volume is 72.7 Å³/f.u.

Cell lengths 3.694, 10.351, 15.222 Å; angles 90.00, 90.00, 90.00 degrees
Fractional positions:
1 Si 0.500 0.583 0.647
2 Si 0.500 0.917 0.147
3 Si 0.000 0.700 0.265
4 Si 0.000 0.300 0.735
5 Si 0.000 0.200 0.235
6 Si 0.500 0.083 0.853
7 Si 0.500 0.417 0.353
8 Si 0.000 0.800 0.765
9 As 0.500 0.157 0.704
10 As 0.500 0.238 0.454
11 As 0.500 0.738 0.046
12 As 0.000 0.445 0.610
13 As 0.500 0.843 0.296
14 As 0.000 0.555 0.390
15 As 0.500 0.657 0.796
16 As 0.000 0.391 0.884
17 As 0.500 0.343 0.204
18 As 0.000 0.609 0.116
19 As 0.000 0.109 0.384
20 As 0.000 0.891 0.616
21 As 0.500 0.262 0.954
22 As 0.000 0.945 0.890
23 As 0.000 0.055 0.110
24 As 0.500 0.762 0.546

---

No. 3
First-principles (PBE-GGA) data for an optimized crystal structure of Mn2GaCo, as listed in the Materials Project.

Values from the calculation:
The raw total energy comes out at -7.124 eV per atom. The formation energy is -0.009 eV/atom. The calculation puts the spin magnetization at 6.908 μB/cell. The calculated volume is 51.2 Å³/f.u.

Cell lengths 4.167, 4.167, 4.167 Å; angles 60.00, 60.00, 60.00 degrees
Fractional positions:
1 Co 0.500 0.500 0.500
2 Ga 0.750 0.750 0.750
3 Mn 0.000 0.000 0.000
4 Mn 0.250 0.250 0.250

---

> The lowest formation energy belongs to which entry?

ThSiOs2C

---

> The lowest calculated volume belongs to which entry?

Mn2GaCo

---

> Which of these has the lowest raw total energy?

ThSiOs2C

---

> The lowest formation energy belongs to which entry?

ThSiOs2C